# 1
Ho3GaS6 | PBE-GGA | optimized geometry

ΔH_f (0 K) ... -2.027 eV per atom
Space group ... Cmc2_1, No. 36

a b c (Å): 8.5162 8.5162 6.4615
angles (deg): 90.00 90.00 102.50
With the nearest neighbours (Å) after each atom.
Element x y z (fractional)
1 Ho 0.2848 0.0849 0.2229  7 S 2.66-2.96
2 Ho 0.9151 0.7153 0.2229  7 S 2.66-2.96
3 Ho 0.7153 0.9151 0.7229  7 S 2.66-2.96
4 Ho 0.0849 0.2848 0.7229  7 S 2.66-2.96
5 Ho 0.4016 0.5984 0.1433  7 S 2.72-2.98
6 Ho 0.5984 0.4016 0.6433  7 S 2.72-2.98
7 Ga 0.2017 0.7983 0.7604  4 S 2.28-2.34
8 Ga 0.7983 0.2017 0.2604  4 S 2.28-2.34
9 S 0.5665 0.1017 0.4429  1 Ga 2.30
10 S 0.8983 0.4335 0.4429  1 Ga 2.30
11 S 0.4335 0.8983 0.9429  1 Ga 2.30
12 S 0.1017 0.5665 0.9429  1 Ga 2.30
13 S 0.6357 0.6893 0.4330  4 Ho 2.66-2.76
14 S 0.3107 0.3643 0.4330  4 Ho 2.66-2.76
15 S 0.3643 0.3107 0.9330  4 Ho 2.66-2.76
16 S 0.6893 0.6357 0.9330  4 Ho 2.66-2.76
17 S 0.2176 0.7824 0.4084  1 Ga 2.28
18 S 0.7824 0.2176 0.9084  1 Ga 2.28
19 S 0.9595 0.0405 0.4053  1 Ga 2.34
20 S 0.0405 0.9595 0.9053  1 Ga 2.34

***

# 2
CeTlZn | PBE-GGA | optimized geometry

ΔH_f (0 K) ... -0.236 eV per atom
Space group ... P6_3/mmc, No. 194

a b c (Å): 4.8286 4.8286 7.4683
angles (deg): 90.00 90.00 120.00
With the nearest neighbours (Å) after each atom.
Element x y z (fractional)
1 Ce 0.0000 0.0000 0.5000  6 Tl 3.36, 6 Zn 3.36, 2 Ce 3.73
2 Ce 0.0000 0.0000 0.0000  6 Tl 3.36, 6 Zn 3.36, 2 Ce 3.73
3 Tl 0.3333 0.6667 0.2500  3 Zn 2.79
4 Tl 0.6667 0.3333 0.7500  3 Zn 2.79
5 Zn 0.3333 0.6667 0.7500  3 Tl 2.79
6 Zn 0.6667 0.3333 0.2500  3 Tl 2.79

***

# 3
BaNi2P2 | PBE-GGA | optimized geometry

ΔH_f (0 K) ... -0.775 eV per atom
Space group ... I4/mmm, No. 139

a b c (Å): 3.9473 3.9473 6.5733
angles (deg): 107.47 107.47 90.00
With the nearest neighbours (Å) after each atom.
Element x y z (fractional)
1 Ba 0.0000 0.0000 0.0000  8 P 3.37, 8 Ni 3.57
2 Ni 0.2500 0.7500 0.5000  4 P 2.25
3 Ni 0.7500 0.2500 0.5000  4 P 2.25
4 P 0.6588 0.6588 0.3177  4 Ni 2.25
5 P 0.3412 0.3412 0.6823  4 Ni 2.25

***

# 4
Li6SbS2 | PBE-GGA | optimized geometry

ΔE to the lowest computed polymorph ... 46 meV per atom
ΔH_f (0 K) ... -1.084 eV per atom
Space group ... C2/c, No. 15

a b c (Å): 10.8291 10.8291 6.5247
angles (deg): 88.73 88.73 26.94
With the nearest neighbours (Å) after each atom.
Element x y z (fractional)
1 Li 0.3389 0.5320 0.1263  1 S 2.39
2 Li 0.5320 0.3389 0.6263  1 S 2.39
3 Li 0.9057 0.8471 0.4231  2 S 2.34-2.35
4 Li 0.8471 0.9057 0.9231  2 S 2.34-2.35
5 Li 0.3487 0.2044 0.3679  3 S 2.32-2.40
6 Li 0.2044 0.3487 0.8679  3 S 2.32-2.40
7 Li 0.7956 0.6513 0.1321  3 S 2.32-2.40
8 Li 0.6513 0.7956 0.6321  3 S 2.32-2.40
9 Li 0.1529 0.0943 0.0769  2 S 2.34-2.35
10 Li 0.0943 0.1529 0.5769  2 S 2.34-2.35
11 Li 0.4680 0.6611 0.3737  1 S 2.39
12 Li 0.6611 0.4680 0.8737  1 S 2.39
13 Sb 0.9081 0.0919 0.2500  8 Li 2.88-3.19
14 Sb 0.0919 0.9081 0.7500  8 Li 2.88-3.19
15 S 0.0888 0.5657 0.1587  6 Li 2.32-2.40
16 S 0.5657 0.0888 0.6587  6 Li 2.32-2.40
17 S 0.4343 0.9112 0.3413  6 Li 2.32-2.40
18 S 0.9112 0.4343 0.8413  6 Li 2.32-2.40

***

# 5
CsHF2 | PBE-GGA | optimized geometry

ΔH_f (0 K) ... -2.466 eV per atom
Space group ... P4/mmm, No. 123

a b c (Å): 3.9658 3.9658 5.2494
angles (deg): 90.00 90.00 90.00
With the nearest neighbours (Å) after each atom.
Element x y z (fractional)
1 Cs 0.5000 0.5000 0.5000  8 F 3.17
2 H 0.0000 0.0000 0.0000  2 F 1.15
3 F 0.0000 0.0000 0.2199  1 H 1.15
4 F 0.0000 0.0000 0.7801  1 H 1.15

***

# 6
Ti5P4O20 | PBE-GGA | optimized geometry

ΔH_f (0 K) ... -3.133 eV per atom
Space group ... P2_12_12_1, No. 19

a b c (Å): 7.6077 12.9976 14.5787
angles (deg): 90.00 90.00 90.00
With the nearest neighbours (Å) after each atom.
Element x y z (fractional)
1 Ti 0.6060 0.1437 0.1766  3 O 1.75-1.91
2 Ti 0.8760 0.3762 0.4416  6 O 1.92-1.97
3 Ti 0.6476 0.3839 0.0537  3 O 1.75-1.91
4 Ti 0.1060 0.3563 0.8234  3 O 1.75-1.91
5 Ti 0.3940 0.6437 0.3234  3 O 1.75-1.91
6 Ti 0.6240 0.6238 0.9416  6 O 1.92-1.97
7 Ti 0.1505 0.6074 0.7051  3 O 1.75-1.92
8 Ti 0.1240 0.8762 0.0584  6 O 1.92-1.97
9 Ti 0.9042 0.1341 0.3293  3 O 1.73-1.91
10 Ti 0.1476 0.1161 0.9463  3 O 1.75-1.91
11 Ti 0.5958 0.8659 0.8293  3 O 1.73-1.91
12 Ti 0.8524 0.6161 0.5537  3 O 1.75-1.91
13 Ti 0.8940 0.8563 0.6766  3 O 1.75-1.91
14 Ti 0.4042 0.3659 0.6707  3 O 1.73-1.91
15 Ti 0.3495 0.3926 0.2051  3 O 1.75-1.92
16 Ti 0.0958 0.6341 0.1707  3 O 1.73-1.91
17 Ti 0.3760 0.1238 0.5584  6 O 1.92-1.97
18 Ti 0.3524 0.8839 0.4463  3 O 1.75-1.91
19 Ti 0.8495 0.1074 0.7949  3 O 1.75-1.92
20 Ti 0.6505 0.8926 0.2949  3 O 1.75-1.92
21 P 0.4791 0.7570 0.1217  4 O 1.52-1.58
22 P 0.7339 0.9959 0.4998  4 O 1.52-1.58
23 P 0.9791 0.7430 0.8783  4 O 1.52-1.58
24 P 0.2661 0.4959 0.0002  4 O 1.52-1.58
25 P 0.0209 0.2430 0.6217  4 O 1.52-1.58
26 P 0.7598 0.4907 0.7533  4 O 1.52-1.57
27 P 0.5209 0.2570 0.3783  4 O 1.52-1.58
28 P 0.2598 0.0093 0.2467  4 O 1.52-1.57
29 P 0.5007 0.7440 0.6277  4 O 1.53-1.57
30 P 0.7661 0.0041 0.9998  4 O 1.52-1.58
31 P 0.0007 0.7560 0.3723  4 O 1.53-1.57
32 P 0.9993 0.2560 0.1277  4 O 1.53-1.57
33 P 0.2402 0.9907 0.7467  4 O 1.52-1.57
34 P 0.7402 0.5093 0.2533  4 O 1.52-1.57
35 P 0.2339 0.5041 0.5002  4 O 1.52-1.58
36 P 0.4993 0.2440 0.8723  4 O 1.53-1.57
37 O 0.1159 0.4323 0.4451  1 P 1.52
38 O 0.1625 0.4240 0.9359  1 P 1.54
39 O 0.8849 0.1863 0.1921  1 P 1.57
40 O 0.1391 0.5570 0.0612  1 P 1.53
41 O 0.8602 0.6768 0.9385  1 P 1.53
42 O 0.8805 0.5536 0.6869  1 P 1.57
43 O 0.1376 0.3121 0.6866  1 P 1.58
44 O 0.3624 0.6879 0.1866  1 P 1.58
45 O 0.6391 0.9430 0.9388  1 P 1.53
46 O 0.8624 0.8121 0.8134  1 P 1.58
47 O 0.3756 0.9294 0.8032  1 P 1.54
48 O 0.9075 0.6893 0.4441  1 P 1.53
49 O 0.7991 0.4989 0.5023  2 Ti 1.75-1.92
50 O 0.6625 0.0760 0.0641  1 P 1.54
51 O 0.6209 0.9255 0.4338  1 P 1.58
52 O 0.4590 0.2494 0.6211  1 Ti 1.73
53 O 0.6180 0.5852 0.3046  1 P 1.55
54 O 0.9068 0.1728 0.6834  1 P 1.55
55 O 0.7009 0.5011 0.0023  2 Ti 1.75-1.92
56 O 0.6378 0.1848 0.8168  1 P 1.54
57 O 0.1398 0.1768 0.5615  1 P 1.53
58 O 0.6195 0.4464 0.1869  1 P 1.57
59 O 0.4068 0.3272 0.3166  1 P 1.55
60 O 0.4645 0.7644 0.3617  1 Ti 1.75
61 O 0.8756 0.5706 0.1968  1 P 1.54
62 O 0.8609 0.0570 0.4388  1 P 1.53
63 O 0.6244 0.6679 0.5787  1 P 1.54
64 O 0.1180 0.9148 0.6954  1 P 1.55
65 O 0.9046 0.3118 0.5629  1 P 1.52
66 O 0.6151 0.8137 0.6921  1 P 1.57
67 O 0.9645 0.7356 0.6383  1 Ti 1.75
68 O 0.2303 0.4882 0.7412  1 Ti 1.75
69 O 0.5355 0.2644 0.1383  1 Ti 1.75
70 O 0.0932 0.6728 0.8166  1 P 1.55
71 O 0.7303 0.0118 0.2588  1 Ti 1.75
72 O 0.3622 0.6848 0.6832  1 P 1.54
73 O 0.6159 0.0677 0.5549  1 P 1.52
74 O 0.5954 0.6882 0.0629  1 P 1.52
75 O 0.3375 0.5760 0.4359  1 P 1.54
76 O 0.0355 0.2356 0.8617  1 Ti 1.75
77 O 0.8820 0.4148 0.8046  1 P 1.55
78 O 0.5925 0.3107 0.9441  1 P 1.53
79 O 0.1378 0.3152 0.1832  1 P 1.54
80 O 0.6376 0.1879 0.3134  1 P 1.58
81 O 0.1151 0.6863 0.3079  1 P 1.57
82 O 0.4075 0.8107 0.5559  1 P 1.53
83 O 0.5932 0.8272 0.1834  1 P 1.55
84 O 0.3351 0.0615 0.6799  1 P 1.52
85 O 0.8791 0.0745 0.9338  1 P 1.58
86 O 0.3609 0.4430 0.5612  1 P 1.53
87 O 0.1209 0.5745 0.5662  1 P 1.58
88 O 0.1195 0.0536 0.8131  1 P 1.57
89 O 0.2009 0.9989 0.9977  2 Ti 1.75-1.92
90 O 0.8622 0.8152 0.3168  1 P 1.54
91 O 0.5410 0.7494 0.8789  1 Ti 1.73
92 O 0.0410 0.7506 0.1211  1 Ti 1.73
93 O 0.8841 0.9323 0.0549  1 P 1.52
94 O 0.8351 0.4385 0.3201  1 P 1.52
95 O 0.0925 0.1893 0.0559  1 P 1.53
96 O 0.6398 0.3232 0.4385  1 P 1.53
97 O 0.3756 0.1679 0.9213  1 P 1.54
98 O 0.3602 0.8232 0.0615  1 P 1.53
99 O 0.8375 0.9240 0.5641  1 P 1.54
100 O 0.3805 0.9464 0.3131  1 P 1.57
101 O 0.6649 0.5615 0.8201  1 P 1.52
102 O 0.3841 0.5677 0.9451  1 P 1.52
103 O 0.1649 0.9385 0.1799  1 P 1.52
104 O 0.9590 0.2506 0.3789  1 Ti 1.73
105 O 0.0954 0.8118 0.9371  1 P 1.52
106 O 0.6244 0.4294 0.6968  1 P 1.54
107 O 0.2697 0.5118 0.2412  1 Ti 1.75
108 O 0.4046 0.1882 0.4371  1 P 1.52
109 O 0.7697 0.9882 0.7588  1 Ti 1.75
110 O 0.3849 0.3137 0.8079  1 P 1.57
111 O 0.1244 0.8321 0.4213  1 P 1.54
112 O 0.3791 0.4255 0.0662  1 P 1.58
113 O 0.3820 0.0852 0.1954  1 P 1.55
114 O 0.1244 0.0706 0.3032  1 P 1.54
115 O 0.8756 0.3321 0.0787  1 P 1.54
116 O 0.2991 0.0011 0.4977  2 Ti 1.75-1.92

***

# 7
ErPH5CO7 | PBE-GGA | optimized geometry

ΔH_f (0 K) ... -2.014 eV per atom
Space group ... P-1, No. 2

a b c (Å): 6.4864 6.8885 7.7393
angles (deg): 111.91 96.31 90.77
With the nearest neighbours (Å) after each atom.
Element x y z (fractional)
1 Er 0.1235 0.2205 0.9336  8 O 2.27-2.47
2 Er 0.8765 0.7795 0.0664  8 O 2.27-2.47
3 P 0.6715 0.2514 0.0203  1 H 1.40, 3 O 1.53-1.56
4 P 0.3285 0.7486 0.9797  1 H 1.40, 3 O 1.53-1.56
5 H 0.4841 0.8848 0.5941  1 O 0.98
6 H 0.7218 0.6776 0.6536  1 O 1.00
7 H 0.5239 0.7397 0.3925  1 O 0.98
8 H 0.5159 0.1152 0.4059  1 O 0.98
9 H 0.2782 0.3224 0.3464  1 O 1.00
10 H 0.4761 0.2603 0.6075  1 O 0.98
11 H 0.6265 0.2939 0.2038  1 P 1.40
12 H 0.1622 0.5201 0.3160  1 O 1.00
13 H 0.8378 0.4799 0.6840  1 O 1.00
14 H 0.3735 0.7061 0.7962  1 P 1.40
15 C 0.0579 0.9049 0.5026  2 O 1.26-1.27
16 C 0.9421 0.0951 0.4974  2 O 1.26-1.27
17 O 0.1486 0.9159 0.6587  1 C 1.26
18 O 0.7859 0.6215 0.7469  2 H 1.00
19 O 0.8053 0.0565 0.9622  1 P 1.56
20 O 0.5892 0.8011 0.5227  2 H 0.98
21 O 0.4654 0.2203 0.8939  1 P 1.53
22 O 0.9475 0.2485 0.6538  1 C 1.27
23 O 0.8198 0.4311 0.0248  1 P 1.55
24 O 0.1802 0.5689 0.9752  1 P 1.55
25 O 0.5346 0.7797 0.1061  1 P 1.53
26 O 0.1947 0.9435 0.0378  1 P 1.56
27 O 0.8514 0.0841 0.3413  1 C 1.26
28 O 0.0525 0.7515 0.3462  1 C 1.27
29 O 0.2141 0.3785 0.2531  2 H 1.00
30 O 0.4108 0.1989 0.4773  2 H 0.98

***

# 8
Zn13Fe | PBE-GGA | optimized geometry

ΔE to the lowest computed polymorph ... 0 meV per atom
ΔH_f (0 K) ... -0.031 eV per atom
Space group ... C2/m, No. 12

a b c (Å): 6.6172 6.6172 5.0661
angles (deg): 81.22 81.22 70.63
With the nearest neighbours (Å) after each atom.
Element x y z (fractional)
1 Zn 0.0000 0.0000 0.0000  2 Fe 2.53, 10 Zn 2.69-2.77
2 Zn 0.3854 0.3854 0.9379  10 Zn 2.58-2.77
3 Zn 0.6146 0.6146 0.0621  10 Zn 2.58-2.77
4 Zn 0.7773 0.7773 0.3755  8 Zn 2.58-2.89, 1 Fe 2.60
5 Zn 0.2227 0.2227 0.6245  8 Zn 2.58-2.89, 1 Fe 2.60
6 Zn 0.2135 0.6349 0.3140  8 Zn 2.59-2.86, 1 Fe 2.60
7 Zn 0.3651 0.7865 0.6860  8 Zn 2.59-2.86, 1 Fe 2.60
8 Zn 0.7865 0.3651 0.6860  8 Zn 2.59-2.86, 1 Fe 2.60
9 Zn 0.6349 0.2135 0.3140  8 Zn 2.59-2.86, 1 Fe 2.60
10 Zn 0.0048 0.6440 0.7996  9 Zn 2.57-2.86, 1 Fe 2.59
11 Zn 0.3560 0.9952 0.2004  9 Zn 2.57-2.86, 1 Fe 2.59
12 Zn 0.9952 0.3560 0.2004  9 Zn 2.57-2.86, 1 Fe 2.59
13 Zn 0.6440 0.0048 0.7996  9 Zn 2.57-2.86, 1 Fe 2.59
14 Fe 0.0000 0.0000 0.5000  12 Zn 2.53-2.60